Entry 1:
A plane-wave DFT calculation with PBE with a Hubbard U was carried out for a relaxed structure of FeTe2BrO5.

```
FeTe2BrO5
1.0
6.702 0.000 0.000
0.000 13.622 0.000
0.000 4.436 13.866
O Fe Te Br
40 8 16 8
direct
0.756 0.990 0.753
0.215 0.112 0.480
0.017 0.185 0.122
0.798 0.088 0.551
0.517 0.815 0.378
0.256 0.010 0.747
0.774 0.791 0.226
0.266 0.335 0.456
0.575 0.099 0.864
0.925 0.099 0.364
0.744 0.990 0.253
0.906 0.229 0.910
0.451 0.209 0.108
0.274 0.209 0.274
0.244 0.010 0.247
0.715 0.888 0.020
0.425 0.901 0.136
0.483 0.185 0.622
0.075 0.901 0.636
0.726 0.791 0.726
0.094 0.771 0.090
0.406 0.771 0.590
0.486 0.963 0.603
0.514 0.037 0.397
0.014 0.963 0.103
0.785 0.888 0.520
0.285 0.112 0.980
0.202 0.912 0.449
0.734 0.665 0.544
0.298 0.912 0.949
0.702 0.088 0.051
0.594 0.229 0.410
0.549 0.791 0.892
0.049 0.209 0.608
0.983 0.815 0.878
0.226 0.209 0.774
0.234 0.335 0.956
0.986 0.037 0.897
0.951 0.791 0.392
0.766 0.665 0.044
0.999 0.116 0.023
0.791 0.938 0.644
0.501 0.116 0.523
0.291 0.062 0.856
0.001 0.884 0.977
0.709 0.938 0.144
0.499 0.884 0.477
0.209 0.062 0.356
0.691 0.109 0.287
0.210 0.278 0.141
0.483 0.805 0.019
0.470 0.362 0.364
0.983 0.195 0.481
0.030 0.362 0.864
0.017 0.805 0.519
0.530 0.638 0.636
0.710 0.722 0.359
0.309 0.891 0.713
0.970 0.638 0.136
0.191 0.891 0.213
0.290 0.278 0.641
0.809 0.109 0.787
0.790 0.722 0.859
0.517 0.195 0.981
0.360 0.615 0.279
0.640 0.385 0.721
0.225 0.564 0.043
0.725 0.436 0.457
0.275 0.564 0.543
0.775 0.436 0.957
0.860 0.385 0.221
0.140 0.615 0.779
```

- Energy with MP2020 corrections: -5.9657 eV/atom
- Magnetization: 5.00 μB/f.u.
- Calculated total energy: -384.00 eV per cell



Entry 2:
A plane-wave DFT calculation with PBE with a Hubbard U was carried out for a relaxed structure of MnH4Br2O2.

```
MnH4Br2O2
1.0
3.942 -0.077 -0.409
-0.693 5.919 -0.748
-0.106 0.118 6.004
Mn H Br O
1 4 2 2
direct
0.000 0.000 0.000
0.144 0.774 0.390
0.144 0.390 0.774
0.856 0.226 0.610
0.856 0.610 0.226
0.423 0.759 0.759
0.577 0.241 0.241
0.000 0.242 0.758
0.000 0.758 0.242
```

- Energy with MP2020 corrections: -5.1809 eV/atom
- Magnetization: 5.00 μB/f.u.
- Calculated total energy: -43.59 eV per cell



Entry 3:
A plane-wave DFT calculation with PBE with a Hubbard U was carried out for a relaxed structure of NiH12Br2O12.

```
NiH12Br2O12
1.0
11.132 0.000 0.000
0.000 11.132 0.000
0.000 0.000 11.132
H O Br Ni
48 48 8 4
direct
0.134 0.296 0.953
0.134 0.204 0.453
0.697 0.402 0.614
0.047 0.634 0.204
0.386 0.197 0.098
0.296 0.953 0.134
0.366 0.796 0.953
0.704 0.047 0.866
0.296 0.547 0.634
0.697 0.098 0.114
0.634 0.204 0.047
0.453 0.134 0.204
0.098 0.386 0.197
0.197 0.098 0.386
0.197 0.402 0.886
0.366 0.704 0.453
0.598 0.114 0.803
0.634 0.296 0.547
0.796 0.547 0.866
0.614 0.803 0.902
0.114 0.803 0.598
0.886 0.303 0.902
0.886 0.197 0.402
0.866 0.704 0.047
0.402 0.614 0.697
0.402 0.886 0.197
0.953 0.366 0.796
0.547 0.866 0.796
0.803 0.598 0.114
0.303 0.598 0.386
0.598 0.386 0.303
0.204 0.047 0.634
0.953 0.134 0.296
0.114 0.697 0.098
0.902 0.886 0.303
0.614 0.697 0.402
0.047 0.866 0.704
0.547 0.634 0.296
0.204 0.453 0.134
0.803 0.902 0.614
0.303 0.902 0.886
0.704 0.453 0.366
0.098 0.114 0.697
0.453 0.366 0.704
0.902 0.614 0.803
0.866 0.796 0.547
0.796 0.953 0.366
0.386 0.303 0.598
0.856 0.666 0.127
0.661 0.012 0.470
0.470 0.839 0.512
0.856 0.834 0.627
0.873 0.144 0.334
0.873 0.356 0.834
0.988 0.970 0.839
0.339 0.512 0.030
0.373 0.356 0.666
0.012 0.470 0.661
0.144 0.334 0.873
0.334 0.627 0.644
0.161 0.488 0.530
0.970 0.839 0.988
0.512 0.030 0.339
0.530 0.339 0.988
0.839 0.512 0.470
0.356 0.666 0.373
0.488 0.970 0.661
0.356 0.834 0.873
0.166 0.373 0.144
0.161 0.012 0.030
0.166 0.127 0.644
0.339 0.988 0.530
0.512 0.470 0.839
0.627 0.856 0.834
0.839 0.988 0.970
0.970 0.661 0.488
0.988 0.530 0.339
0.488 0.530 0.161
0.144 0.166 0.373
0.127 0.856 0.666
0.030 0.339 0.512
0.834 0.627 0.856
0.334 0.873 0.144
0.530 0.161 0.488
0.666 0.373 0.356
0.666 0.127 0.856
0.373 0.144 0.166
0.012 0.030 0.161
0.644 0.166 0.127
0.127 0.644 0.166
0.644 0.334 0.627
0.661 0.488 0.970
0.834 0.873 0.356
0.627 0.644 0.334
0.470 0.661 0.012
0.030 0.161 0.012
0.168 0.832 0.332
0.332 0.332 0.332
0.832 0.332 0.168
0.332 0.168 0.832
0.168 0.668 0.832
0.832 0.168 0.668
0.668 0.832 0.168
0.668 0.668 0.668
0.500 0.000 0.500
0.000 0.000 0.000
0.500 0.500 0.000
0.000 0.500 0.500
```

- Energy with MP2020 corrections: -4.5679 eV/atom
- Magnetization: 10.06 μB/f.u.
- Calculated total energy: -450.19 eV per cell



Entry 4:
A plane-wave DFT calculation with PBE with a Hubbard U was carried out for a relaxed structure of HoMoBrO4.

```
HoMoBrO4
1.0
6.924 0.000 0.000
-0.428 7.247 0.000
-3.294 -3.050 10.037
O Mo Br Ho
16 4 4 4
direct
0.284 0.588 0.299
0.345 0.205 0.298
0.627 0.645 0.202
0.956 0.351 0.326
0.373 0.355 0.798
0.673 0.506 0.451
0.397 0.981 0.818
0.044 0.649 0.674
0.603 0.019 0.182
0.716 0.412 0.701
0.997 0.131 0.793
0.655 0.795 0.702
0.334 0.272 0.042
0.666 0.728 0.958
0.003 0.869 0.207
0.327 0.494 0.549
0.775 0.593 0.629
0.267 0.187 0.866
0.225 0.407 0.371
0.733 0.813 0.134
0.193 0.716 0.981
0.740 0.008 0.482
0.260 0.992 0.518
0.807 0.284 0.019
0.611 0.345 0.232
0.389 0.655 0.768
0.353 0.881 0.269
0.647 0.119 0.731
```

- Energy with MP2020 corrections: -7.7824 eV/atom
- Magnetization: 0.00 μB/f.u.
- Calculated total energy: -194.11 eV per cell



Entry 5:
A plane-wave DFT calculation with PBE with a Hubbard U was carried out for a relaxed structure of K4Mo2S4BrO20.

```
K4Mo2S4BrO20
1.0
-8.003 -7.988 4.436
6.774 -1.230 10.007
-4.114 6.084 3.533
S O K Mo Br
8 40 8 4 2
direct
0.728 0.410 0.000
0.772 0.910 0.500
0.090 0.772 0.500
0.910 0.228 0.500
0.228 0.090 0.500
0.590 0.728 0.000
0.410 0.272 0.000
0.272 0.590 0.000
0.427 0.349 0.849
0.651 0.427 0.151
0.849 0.927 0.349
0.203 0.735 0.500
0.188 0.504 0.000
0.478 0.763 0.500
0.349 0.573 0.849
0.237 0.478 0.500
0.651 0.427 0.849
0.735 0.797 0.500
0.312 0.004 0.500
0.235 0.703 0.000
0.703 0.765 0.000
0.496 0.188 0.000
0.737 0.022 0.000
0.978 0.737 0.000
0.522 0.237 0.500
0.022 0.263 0.000
0.151 0.073 0.651
0.573 0.651 0.151
0.797 0.265 0.500
0.573 0.651 0.849
0.297 0.235 0.000
0.927 0.151 0.651
0.263 0.978 0.000
0.688 0.996 0.500
0.504 0.812 0.000
0.812 0.496 0.000
0.765 0.297 0.000
0.265 0.203 0.500
0.427 0.349 0.151
0.349 0.573 0.151
0.151 0.073 0.349
0.073 0.849 0.651
0.073 0.849 0.349
0.996 0.312 0.500
0.763 0.522 0.500
0.849 0.927 0.651
0.927 0.151 0.349
0.004 0.688 0.500
0.168 0.332 0.250
0.332 0.832 0.250
0.668 0.168 0.750
0.332 0.832 0.750
0.668 0.168 0.250
0.168 0.332 0.750
0.832 0.668 0.750
0.832 0.668 0.250
0.500 0.500 0.861
0.500 0.500 0.139
0.000 0.000 0.639
0.000 0.000 0.361
0.000 0.000 0.000
0.500 0.500 0.500
```

- Energy with MP2020 corrections: -6.0555 eV/atom
- Magnetization: 7.07 μB/f.u.
- Calculated total energy: -335.15 eV per cell



Entry 6:
A plane-wave DFT calculation with PBE with a Hubbard U was carried out for a relaxed structure of MgMo2Br4O4.

```
MgMo2Br4O4
1.0
0.013 3.874 0.004
-0.011 0.007 7.740
8.366 -1.907 -1.911
Br Mg O Mo
4 1 4 2
direct
0.146 0.044 0.325
0.836 0.866 0.674
0.860 0.412 0.680
0.153 0.543 0.313
0.740 0.109 0.526
0.993 0.225 0.991
0.504 0.472 0.009
0.493 0.969 0.994
0.996 0.713 0.998
0.011 0.474 0.015
0.989 0.967 0.985
```

- Energy with MP2020 corrections: -5.8901 eV/atom
- Magnetization: 2.00 μB/f.u.
- Calculated total energy: -55.64 eV per cell



| no. | formation energy (meV per atom) |
| --- | --- |
| 1 | -1395 |
| 2 | -1192 |
| 3 | -526 |
| 4 | -2517 |
| 5 | -1434 |
| 6 | -1378 |